This record from the Materials Project describes Sr2MnMoO6 after structural relaxation. The functional is PBE with a Hubbard U.

Summary:
The value obtained for the calculated formation energy is -26.426 eV per formula unit. For the total magnetization, the calculation gives 6.7 μB/cell.

a = 5.6933 Å, b = 5.7534 Å, c = 9.8957 Å
α = 89.31°, β = 73.28°, γ = 60.35°
Fractional positions:
O: 0.6814 0.6046 0.3954
O: 0.7377 0.8935 0.6312
O: 0.6813 0.1047 0.8953
O: 0.2624 0.6064 0.8688
O: 0.2093 0.1594 0.8406
O: 0.3187 0.8953 0.1047
O: 0.7907 0.8407 0.1594
O: 0.2624 0.1064 0.3688
O: 0.3187 0.3953 0.6046
O: 0.7375 0.3937 0.1313
O: 0.7907 0.3407 0.6593
O: 0.2093 0.6593 0.3407
Mn: 0.9999 0.0000 0.0001
Mn: 0.0000 0.4999 0.4998
Mo: 0.5000 0.2500 0.7500
Mo: 0.5000 0.7500 0.2500
Sr: 0.2500 0.3750 0.1250
Sr: 0.2500 0.8750 0.6250
Sr: 0.7500 0.6250 0.8750
Sr: 0.7500 0.1250 0.3750